! CoBi6S2O16 PBE+U relaxed; values from VASP
&SYSTEM
  ibrav = 0, nat = 100, ntyp = 4
/
ATOMIC_SPECIES
Co 58.93 Co.upf
Bi 208.98 Bi.upf
S 32.06 S.upf
O 16.00 O.upf
ATOMIC_POSITIONS angstrom
Co 11.724 -0.611 -10.299
Co 11.692 -0.611 1.088
Co 17.587 -3.724 -15.449
Co 5.830 2.221 6.237
Bi 19.381 -0.712 -9.653
Bi 25.229 -3.543 -14.839
Bi 7.647 -0.717 0.637
Bi 13.508 -3.551 -4.512
Bi 15.774 -0.710 -9.824
Bi 21.623 -3.546 -15.008
Bi 4.046 -0.718 0.450
Bi 9.908 -3.551 -4.699
Bi 17.814 -3.569 -7.783
Bi 23.687 -0.726 -12.944
Bi 6.091 -3.573 2.516
Bi 11.953 -0.739 -2.634
Bi 17.316 -3.560 -11.718
Bi 23.189 -0.736 -16.880
Bi 5.602 -3.574 -1.428
Bi 11.463 -0.739 -6.578
Bi 15.694 -0.292 -13.668
Bi 21.569 -3.110 -18.865
Bi 3.983 -0.277 -3.410
Bi 9.844 -3.110 -8.560
Bi 19.434 -0.277 -5.797
Bi 25.309 2.542 -10.995
Bi 7.710 -0.278 4.497
Bi 13.572 2.557 -0.652
S 21.706 1.848 -10.869
S 27.527 -0.983 -16.060
S 9.939 1.850 -0.609
S 15.801 -0.983 -5.758
S 13.476 -3.817 -8.602
S 19.298 -0.986 -13.793
S 1.753 -3.818 1.695
S 7.615 -0.983 -3.453
O 17.578 0.685 -9.748
O 23.426 -2.149 -14.914
O 5.846 0.681 0.543
O 11.708 -2.152 -4.606
O 17.576 -2.037 -9.756
O 23.428 0.797 -14.906
O 5.846 -2.044 0.543
O 11.708 0.791 -4.606
O 22.051 0.581 -10.142
O 27.870 -2.261 -15.330
O 10.282 0.572 0.121
O 16.144 -2.260 -5.027
O 13.132 -5.096 -9.331
O 18.952 -2.253 -14.520
O 1.409 -5.095 0.965
O 7.271 -2.261 -4.184
O 21.938 -2.650 -9.925
O 27.741 0.170 -15.116
O 10.149 -2.664 0.336
O 16.010 0.170 -4.813
O 13.263 -2.665 -9.546
O 19.067 0.183 -14.737
O 1.543 -2.664 0.750
O 7.406 0.170 -4.398
O 20.288 -3.853 -11.264
O 26.116 -1.053 -16.471
O 8.528 -3.888 -1.023
O 14.391 -1.054 -6.174
O 14.887 -3.888 -8.191
O 20.717 -1.022 -13.399
O 3.163 -3.889 2.110
O 9.026 -1.055 -3.040
O 16.735 -0.824 -6.920
O 22.622 -3.652 -12.048
O 5.010 -0.827 3.375
O 10.871 -3.659 -1.772
O 18.383 -0.819 -12.614
O 24.268 -3.657 -17.742
O 6.683 -0.823 -2.290
O 12.545 -3.659 -7.437
O 18.572 1.698 -5.623
O 24.482 -1.121 -10.810
O 6.849 1.696 4.675
O 12.710 -1.137 -0.474
O 16.521 -3.955 -13.852
O 22.431 -1.136 -19.040
O 4.844 -3.971 -3.588
O 10.705 -1.136 -8.738
O 19.497 0.606 -7.871
O 25.370 -2.221 -13.060
O 7.775 0.605 2.421
O 13.636 -2.229 -2.728
O 15.633 -5.056 -11.602
O 21.506 -2.227 -16.791
O 3.918 -5.063 -1.334
O 9.780 -2.229 -6.483
O 19.573 -2.202 -7.901
O 25.445 0.642 -13.076
O 7.851 -2.203 2.394
O 13.713 0.631 -2.755
O 15.558 -2.193 -11.585
O 21.430 -5.036 -16.760
O 3.841 -2.204 -1.306
O 9.703 -5.037 -6.455
CELL_PARAMETERS angstrom
0.000 -5.667 0.000
23.449 0.002 -20.600
5.830 2.834 6.237
! Excess energy over the best structure of this formula in the dataset = 0.28 kcal/mol of atoms
! Total moment = 0.0166 μB per atom
! Formation energy = -1764 meV per atom
! Electronic total energy = -5.97 eV/atom

=====

! CoBi6S2O16 PBE+U relaxed; values from VASP
&SYSTEM
  ibrav = 0, nat = 100, ntyp = 4
/
ATOMIC_SPECIES
Co 58.93 Co.upf
Bi 208.98 Bi.upf
S 32.06 S.upf
O 16.00 O.upf
ATOMIC_POSITIONS angstrom
Co -6.621 2.032 9.071
Co -10.833 9.246 12.386
Co -18.887 13.144 13.264
Co -3.615 7.741 3.693
Bi -9.938 8.253 6.046
Bi -8.901 6.034 13.976
Bi -16.963 9.919 14.835
Bi -1.875 4.364 5.170
Bi -8.424 5.367 7.577
Bi -12.608 12.596 10.901
Bi -1.368 3.695 -1.239
Bi -5.568 10.919 2.085
Bi -8.537 8.970 9.446
Bi -11.376 3.422 14.929
Bi -1.514 7.303 0.641
Bi -4.339 1.739 6.126
Bi -5.908 7.985 6.621
Bi -13.973 11.892 7.509
Bi -12.949 9.673 15.436
Bi -6.949 10.227 -1.304
Bi -6.305 4.478 4.474
Bi -10.499 11.707 7.772
Bi -13.337 6.154 13.241
Bi -3.465 10.039 -1.040
Bi -12.642 8.619 8.797
Bi -11.609 6.404 16.724
Bi -5.577 6.972 -0.037
Bi -4.573 4.731 7.917
S -7.924 11.723 5.373
S -10.748 6.160 10.855
S -14.955 13.395 14.178
S -3.763 4.568 2.075
S -6.148 5.576 10.944
S -14.227 9.479 11.821
S 0.885 3.911 2.138
S -7.118 7.745 3.007
O -6.258 9.330 8.659
O -9.089 3.773 14.139
O -13.285 10.995 17.459
O -2.053 2.099 5.330
O -8.265 7.595 7.385
O -7.228 5.377 15.319
O -15.296 9.267 16.187
O -0.194 3.699 6.506
O -7.644 12.853 6.337
O -10.465 7.284 11.827
O -14.660 14.518 15.147
O -3.488 5.680 3.049
O -4.693 5.962 11.089
O -12.768 9.857 11.957
O 2.346 4.285 2.266
O -5.670 8.126 3.142
O -9.370 11.330 5.514
O -8.329 9.108 13.445
O -16.405 13.019 14.320
O -1.362 7.525 4.622
O -6.266 4.593 9.810
O -10.490 11.840 13.135
O 0.747 2.937 0.999
O -3.383 10.065 4.337
O -7.049 10.593 5.725
O -9.878 5.025 11.202
O -14.093 12.254 14.526
O -2.932 3.405 2.437
O -6.917 6.795 10.648
O -14.993 10.704 11.540
O 0.122 5.138 1.861
O -7.897 8.950 2.670
O -10.515 6.657 9.460
O -14.721 13.887 12.782
O -3.498 5.047 0.676
O -7.694 12.211 3.974
O -7.586 7.095 4.276
O -6.598 4.904 12.207
O -14.670 8.803 13.084
O 0.446 3.235 3.402
O -9.887 10.126 10.950
O -12.721 4.575 16.427
O -2.854 8.478 2.104
O -5.684 2.899 7.617
O -4.014 7.286 5.519
O -12.069 11.218 6.368
O -11.040 9.003 14.291
O -5.037 9.549 -2.442
O -8.128 11.175 9.232
O -10.961 5.623 14.707
O -1.085 9.503 0.403
O -3.927 3.939 5.902
O -4.317 7.536 8.150
O -12.365 11.440 9.017
O -11.334 9.218 16.938
O -5.333 9.771 0.199
O -10.101 9.542 7.955
O -9.070 7.325 15.884
O -3.067 7.870 -0.864
O -2.027 5.642 7.084
O -6.244 5.799 6.935
O -10.430 13.036 10.267
O -13.267 7.482 15.739
O -3.395 11.374 1.453
CELL_PARAMETERS angstrom
3.867 3.335 2.453
-5.228 9.449 -4.606
-14.075 3.341 17.609
! Excess energy over the best structure of this formula in the dataset = 0.21 kcal/mol of atoms
! Total moment = 0.0207 μB per atom
! Formation energy = -1767 meV per atom
! Electronic total energy = -5.98 eV/atom

=====

! CoBi6S2O16 PBE+U relaxed; values from VASP
&SYSTEM
  ibrav = 0, nat = 50, ntyp = 4
/
ATOMIC_SPECIES
Co 58.93 Co.upf
Bi 208.98 Bi.upf
S 32.06 S.upf
O 16.00 O.upf
ATOMIC_POSITIONS angstrom
Co 5.853 -9.108 -5.135
Co 11.690 -0.577 1.104
Bi 7.645 -6.394 0.650
Bi 7.645 -0.708 0.650
Bi 4.045 -6.393 0.452
Bi 4.044 -0.708 0.453
Bi 6.093 -3.568 2.519
Bi 6.092 -9.254 2.519
Bi 5.597 -3.569 -1.417
Bi 5.597 -9.254 -1.417
Bi 3.975 -5.944 -3.395
Bi 3.974 -11.630 -3.394
Bi 7.716 -5.944 4.497
Bi 7.715 -0.259 4.498
S 9.915 -9.538 -0.594
S 9.915 -3.854 -0.593
S 1.775 -3.857 1.697
S 1.774 -9.539 1.696
O 5.845 -5.002 0.551
O 5.844 -10.688 0.552
O 5.845 -7.734 0.552
O 5.845 -2.048 0.552
O 10.246 -5.128 0.156
O 10.245 -10.812 0.154
O 1.445 -5.133 0.951
O 1.443 -10.814 0.951
O 10.103 -8.379 0.347
O 10.103 -2.695 0.346
O 1.585 -2.699 0.756
O 1.584 -8.381 0.755
O 8.514 -9.622 -1.037
O 8.515 -3.939 -1.036
O 3.177 -3.940 2.139
O 3.175 -9.623 2.138
O 5.017 -6.543 3.396
O 5.018 -0.860 3.397
O 6.674 -6.547 -2.292
O 6.673 -12.229 -2.292
O 6.836 -3.976 4.680
O 6.836 1.709 4.682
O 4.854 -3.977 -3.578
O 4.853 -9.663 -3.578
O 7.782 -5.054 2.423
O 7.781 0.632 2.423
O 3.908 -5.054 -1.321
O 3.908 -10.740 -1.320
O 7.847 -7.870 2.418
O 7.847 -2.185 2.417
O 3.842 -2.185 -1.315
O 3.842 -7.870 -1.315
CELL_PARAMETERS angstrom
5.853 -2.843 -5.135
5.837 2.843 6.238
0.000 -11.371 -0.001
! Excess energy over the best structure of this formula in the dataset = 0.00 kcal/mol of atoms
! Total moment = 0.0000 μB per atom
! Formation energy = -1777 meV per atom
! Electronic total energy = -5.99 eV/atom

=====

! EuZrCrBiO6 PBE+U relaxed; values from VASP
&SYSTEM
  ibrav = 0, nat = 10, ntyp = 5
/
ATOMIC_SPECIES
Eu 151.96 Eu.upf
Zr 91.22 Zr.upf
Cr 52.00 Cr.upf
Bi 208.98 Bi.upf
O 16.00 O.upf
ATOMIC_POSITIONS angstrom
Eu 2.022 -2.022 -2.022
Zr 4.045 -4.045 -4.045
Cr 0.000 0.000 0.000
Bi 6.067 -6.067 -6.067
O 1.969 -4.045 -4.045
O 6.120 -4.045 -4.045
O 4.045 -6.120 -4.045
O 4.045 -1.969 -4.045
O 4.045 -4.045 -6.120
O 4.045 -4.045 -1.969
CELL_PARAMETERS angstrom
0.000 -4.045 -4.045
4.045 0.000 -4.045
4.045 -4.045 0.000
! Total moment = 0.9864 μB per atom
! Formation energy = -2672 meV per atom
! Electronic total energy = -8.26 eV/atom